[1]
{
  "formula": "LiFeOF",
  "functional": "GGA+U",
  "state": "optimized geometry",
  "cell": [[-1.564, -1.426, -2.146], [-1.140, 4.623, -2.540], [3.833, 1.504, -3.489]],
  "species": ["Li", "Li", "Fe", "Fe", "O", "O", "F", "F"],
  "fractional_positions": [[0.015, 0.125, 0.625], [0.015, 0.625, 0.125], [0.515, 0.123, 0.123], [0.515, 0.623, 0.623], [0.016, 0.872, 0.372], [0.014, 0.371, 0.872], [0.516, 0.373, 0.373], [0.515, 0.873, 0.873]],
  "formation_enthalpy_0k_ev_per_atom": -2.25,
  "volume_a3_per_cell": 80.51,
  "relative_energy_kj_per_mol_fu": 0,
  "energy_corrected_mp2020_ev_per_cell": -52.5
}

[2]
{
  "formula": "Li7FeO5F",
  "functional": "GGA+U",
  "state": "optimized geometry",
  "cell": [[-4.327, 0.028, -3.440], [-4.664, -8.466, 4.988], [-4.795, 6.266, 5.673]],
  "species": ["Li", "Li", "Li", "Li", "Li", "Li", "Li", "Li", "Li", "Li", "Li", "Li", "Li", "Li", "Li", "Li", "Li", "Li", "Li", "Li", "Li", "Li", "Li", "Li", "Li", "Li", "Li", "Li", "Fe", "Fe", "Fe", "Fe", "O", "O", "O", "O", "O", "O", "O", "O", "O", "O", "O", "O", "O", "O", "O", "O", "O", "O", "O", "O", "F", "F", "F", "F"],
  "fractional_positions": [[0.348, 0.763, 0.011], [0.848, 0.763, 0.511], [0.213, 0.633, 0.187], [0.713, 0.633, 0.687], [0.496, 0.912, 0.175], [0.996, 0.912, 0.675], [0.487, 0.429, 0.164], [0.987, 0.429, 0.664], [0.825, 0.758, 0.137], [0.325, 0.758, 0.637], [0.353, 0.774, 0.359], [0.853, 0.774, 0.859], [0.688, 0.628, 0.309], [0.188, 0.628, 0.808], [0.107, 0.272, 0.154], [0.607, 0.272, 0.654], [0.676, 0.264, 0.327], [0.176, 0.264, 0.827], [0.985, 0.929, 0.326], [0.485, 0.929, 0.826], [0.005, 0.413, 0.345], [0.505, 0.413, 0.845], [0.305, 0.129, 0.305], [0.805, 0.129, 0.805], [0.880, 0.130, 0.483], [0.380, 0.130, 0.983], [0.205, 0.261, 0.497], [0.705, 0.261, 0.997], [0.494, 0.002, 0.506], [0.988, 0.503, 0.003], [0.994, 0.002, 0.006], [0.488, 0.503, 0.503], [0.520, 0.171, 0.479], [0.020, 0.171, 0.979], [0.544, 0.671, 0.501], [0.044, 0.671, 0.001], [0.133, 0.460, 0.164], [0.633, 0.460, 0.664], [0.703, 0.433, 0.007], [0.203, 0.433, 0.507], [0.499, 0.725, 0.184], [0.998, 0.725, 0.684], [0.849, 0.931, 0.147], [0.349, 0.931, 0.647], [0.637, 0.452, 0.338], [0.137, 0.452, 0.838], [0.015, 0.226, 0.338], [0.515, 0.226, 0.839], [0.316, 0.955, 0.010], [0.816, 0.955, 0.510], [0.324, 0.956, 0.354], [0.824, 0.956, 0.854], [0.473, 0.223, 0.158], [0.973, 0.223, 0.658], [0.998, 0.723, 0.325], [0.498, 0.723, 0.825]],
  "formation_enthalpy_0k_ev_per_atom": -2.09,
  "volume_a3_per_cell": 583.29,
  "relative_energy_kj_per_mol_fu": 0,
  "energy_corrected_mp2020_ev_per_cell": -311.2
}

[3]
{
  "formula": "Li3FeOF3",
  "functional": "GGA+U",
  "state": "optimized geometry",
  "cell": [[-2.995, 0.000, 0.000], [1.483, 4.960, 0.000], [-0.022, -1.944, -10.193]],
  "species": ["Li", "Li", "Li", "Li", "Li", "Li", "Fe", "Fe", "O", "O", "F", "F", "F", "F", "F", "F"],
  "fractional_positions": [[0.750, 0.502, 0.383], [0.500, 0.000, 0.500], [0.500, 0.000, 0.000], [0.998, 0.003, 0.751], [0.250, 0.498, 0.617], [0.002, 0.997, 0.249], [0.735, 0.483, 0.883], [0.265, 0.517, 0.117], [0.885, 0.762, 0.067], [0.115, 0.238, 0.933], [0.873, 0.748, 0.562], [0.622, 0.246, 0.676], [0.636, 0.264, 0.203], [0.127, 0.252, 0.438], [0.378, 0.754, 0.324], [0.364, 0.736, 0.797]],
  "formation_enthalpy_0k_ev_per_atom": -2.38,
  "volume_a3_per_cell": 151.43,
  "relative_energy_kj_per_mol_fu": 207,
  "energy_corrected_mp2020_ev_per_cell": -87.9
}

[4]
{
  "formula": "LiFe8O12F4",
  "functional": "GGA+U",
  "state": "optimized geometry",
  "cell": [[-0.036, 0.035, -6.042], [4.478, 4.478, 0.000], [5.360, -5.360, 3.080]],
  "species": ["Li", "Fe", "Fe", "Fe", "Fe", "Fe", "Fe", "Fe", "Fe", "O", "O", "O", "O", "O", "O", "O", "O", "O", "O", "O", "O", "F", "F", "F", "F"],
  "fractional_positions": [[0.321, 0.000, 0.711], [0.499, 0.000, 0.052], [0.977, 0.000, 0.987], [0.781, 0.500, 0.066], [0.233, 0.500, 0.978], [0.518, 0.000, 0.495], [0.968, 0.000, 0.418], [0.747, 0.500, 0.486], [0.259, 0.500, 0.493], [0.837, 0.000, 0.167], [0.506, 0.306, 0.016], [0.993, 0.308, 0.004], [0.506, 0.694, 0.016], [0.756, 0.194, 0.480], [0.254, 0.189, 0.505], [0.993, 0.692, 0.004], [0.189, 0.000, 0.873], [0.922, 0.500, 0.327], [0.583, 0.500, 0.639], [0.756, 0.806, 0.480], [0.254, 0.811, 0.505], [0.342, 0.000, 0.223], [0.651, 0.000, 0.784], [0.394, 0.500, 0.294], [0.105, 0.500, 0.699]],
  "formation_enthalpy_0k_ev_per_atom": -1.69,
  "volume_a3_per_cell": 289.08,
  "relative_energy_kj_per_mol_fu": 98,
  "energy_corrected_mp2020_ev_per_cell": -178.9
}

[5]
{
  "formula": "Li5FeO3F2",
  "functional": "GGA+U",
  "state": "optimized geometry",
  "cell": [[1.941, 4.976, 0.000], [-1.941, 4.976, 0.000], [0.000, 2.151, 5.653]],
  "species": ["Li", "Li", "Li", "Li", "Li", "Fe", "O", "O", "O", "F", "F"],
  "fractional_positions": [[0.316, 0.316, 0.864], [0.316, 0.316, 0.349], [0.711, 0.711, 0.689], [0.685, 0.685, 0.132], [0.020, 0.020, 0.528], [0.004, 0.004, 0.977], [0.858, 0.858, 0.834], [0.506, 0.506, 0.057], [0.167, 0.167, 0.685], [0.837, 0.837, 0.346], [0.163, 0.163, 0.206]],
  "formation_enthalpy_0k_ev_per_atom": -2.34,
  "e_ij_max_c_m2": 1.18,
  "volume_a3_per_cell": 109.20,
  "energy_corrected_mp2020_ev_per_cell": -62.5
}

[6]
{
  "formula": "Li9Fe3O2F14",
  "functional": "GGA+U",
  "state": "optimized geometry",
  "cell": [[5.931, 0.000, 0.000], [-2.954, 5.213, 0.000], [-2.864, -1.787, 9.740]],
  "species": ["Li", "Li", "Li", "Li", "Li", "Li", "Li", "Li", "Li", "Fe", "Fe", "Fe", "O", "O", "F", "F", "F", "F", "F", "F", "F", "F", "F", "F", "F", "F", "F", "F"],
  "fractional_positions": [[0.971, 0.231, 0.741], [0.000, 0.500, 0.000], [0.637, 0.589, 0.693], [0.363, 0.411, 0.307], [0.379, 0.922, 0.808], [0.621, 0.078, 0.192], [0.500, 0.000, 0.500], [0.029, 0.769, 0.259], [0.000, 0.000, 0.500], [0.500, 0.500, 0.000], [0.000, 0.000, 0.000], [0.000, 0.500, 0.500], [0.247, 0.350, 0.101], [0.753, 0.650, 0.899], [0.245, 0.129, 0.873], [0.756, 0.399, 0.122], [0.230, 0.869, 0.121], [0.770, 0.131, 0.879], [0.244, 0.601, 0.878], [0.755, 0.871, 0.127], [0.767, 0.380, 0.617], [0.769, 0.148, 0.389], [0.223, 0.378, 0.617], [0.756, 0.901, 0.617], [0.244, 0.099, 0.383], [0.777, 0.622, 0.383], [0.231, 0.852, 0.611], [0.233, 0.620, 0.383]],
  "formation_enthalpy_0k_ev_per_atom": -2.84,
  "volume_a3_per_cell": 301.16,
  "energy_corrected_mp2020_ev_per_cell": -158.7
}

Question: Number 2 is which compound?
Answer: Li7FeO5F